# 1
BaNb3NO7 | Materials Project | GGA-PBE | relaxed; total magnetic moment = 0.00 Bohr magnetons per cell; distance to the lowest polymorph of the same formula = 0.013 eV/atom; SG = Cm, No. 8
1.0
10.601 -1.947 0.000
10.601 1.947 0.000
-0.041 0.000 9.138
Ba Nb N O
2 6 2 14
Cartesian
0.000 0.000 0.000
0.606 0.000 4.661
5.193 0.000 8.982
7.950 0.000 2.726
8.086 0.000 6.317
13.585 0.000 7.379
13.671 0.000 1.790
16.370 0.000 4.599
3.595 0.000 7.799
12.170 0.000 6.277
3.492 0.000 1.548
6.371 0.000 4.592
6.561 0.000 1.498
6.532 0.000 7.713
9.111 0.000 4.663
9.455 0.000 1.666
9.430 0.000 7.547
12.290 0.000 2.972
12.589 0.000 0.122
15.181 0.000 5.968
15.216 0.000 3.173
15.498 0.000 0.243
18.198 0.000 6.078
18.251 0.000 3.210


# 2
CsRb2GdCl6 | Materials Project | GGA-PBE | relaxed; total magnetic moment = 7.00 Bohr magnetons per cell; SG = Fm-3m, No. 225
1.0
0.000 5.937 5.937
5.937 0.000 5.937
5.937 5.937 0.000
Cs Rb Gd Cl
1 2 1 6
Cartesian
0.000 0.000 0.000
2.969 2.969 2.969
8.906 8.906 8.906
5.937 5.937 5.937
5.937 5.937 3.268
5.937 3.268 5.937
8.606 5.937 5.937
3.268 5.937 5.937
5.937 8.606 5.937
5.937 5.937 8.606


# 3
YGa3Ru | Materials Project | GGA-PBE | relaxed; SG = Pm-3m, No. 221
1.0
6.464 0.000 0.000
0.000 6.464 0.000
0.000 0.000 6.464
Y Ga Ru
3 9 3
Cartesian
0.000 0.000 3.232
0.000 3.232 0.000
3.232 0.000 0.000
0.000 0.000 0.000
1.882 1.882 1.882
1.882 1.882 4.581
1.882 4.581 1.882
1.882 4.581 4.581
4.581 1.882 1.882
4.581 1.882 4.581
4.581 4.581 1.882
4.581 4.581 4.581
0.000 3.232 3.232
3.232 0.000 3.232
3.232 3.232 0.000


# 4
Ho3Ga8Ag3 | Materials Project | GGA-PBE | relaxed; total magnetic moment = 0.00 Bohr magnetons per cell; SG = Immm, No. 71
1.0
-2.186 4.770 6.426
2.186 -4.770 6.426
2.186 4.770 -6.426
Ho Ga Ag
3 8 3
Cartesian
0.000 0.000 0.000
0.000 0.000 3.802
0.000 0.000 9.051
2.186 -1.249 2.023
2.186 -2.092 4.597
2.186 1.249 2.023
0.000 2.678 1.829
2.186 2.092 4.597
0.000 3.521 4.403
0.000 6.862 1.829
0.000 6.019 4.403
2.186 2.970 0.000
0.000 4.770 0.000
0.000 1.800 6.426


# 5
Mg2Cu5O7 | Materials Project | GGA-PBE | relaxed; total magnetic moment = 0.07 Bohr magnetons per cell; SG = Pmm2, No. 25
1.0
4.038 0.000 0.000
0.000 9.436 0.000
0.000 0.000 22.724
Mg Cu O
12 30 42
Cartesian
0.000 0.000 0.000
0.000 0.000 3.243
0.000 0.000 6.484
0.000 0.000 9.727
0.000 0.000 12.973
0.000 0.000 16.222
0.000 0.000 19.477
2.019 4.718 0.819
2.019 4.718 4.062
2.019 4.718 7.327
2.019 4.718 13.828
2.019 4.718 20.301
0.000 3.156 12.360
0.000 3.156 18.852
0.000 3.165 9.100
0.000 3.164 15.597
0.000 3.165 22.073
0.000 3.166 2.595
0.000 3.169 5.840
0.000 6.270 2.595
0.000 6.267 5.840
0.000 6.271 9.100
0.000 6.272 15.597
0.000 6.271 22.073
0.000 6.280 12.360
0.000 6.281 18.852
2.019 1.552 4.711
2.019 1.551 7.925
2.019 1.548 11.199
2.019 1.543 17.704
2.019 1.552 1.465
2.019 1.555 14.412
2.019 1.554 20.941
2.019 4.718 10.606
2.019 4.718 17.105
2.019 7.884 1.465
2.019 7.881 14.412
2.019 7.882 20.941
2.019 7.885 4.711
2.019 7.885 7.925
2.019 7.888 11.199
2.019 7.893 17.704
0.000 1.448 21.147
0.000 1.450 1.666
0.000 1.454 4.908
0.000 1.455 11.403
0.000 1.452 17.904
0.000 1.459 8.161
0.000 1.458 14.657
0.000 4.718 0.473
0.000 4.718 3.720
0.000 4.718 6.964
0.000 4.718 10.204
0.000 4.718 13.470
0.000 4.718 16.701
0.000 4.718 19.962
0.000 7.977 8.161
0.000 7.978 14.657
0.000 7.986 1.666
0.000 7.982 4.908
0.000 7.981 11.403
0.000 7.984 17.904
0.000 7.988 21.147
2.019 0.000 0.340
2.019 0.000 3.587
2.019 0.000 6.797
2.019 0.000 10.069
2.019 0.000 13.291
2.019 0.000 16.565
2.019 0.000 19.817
2.019 3.225 18.684
2.019 3.238 8.874
2.019 3.234 12.173
2.019 3.236 15.372
2.019 3.268 2.396
2.019 3.267 5.640
2.019 3.265 21.882
2.019 6.168 2.396
2.019 6.169 5.640
2.019 6.172 21.882
2.019 6.198 8.874
2.019 6.203 12.173
2.019 6.200 15.372
2.019 6.211 18.684


# 6
Mg15Cd | Materials Project | GGA-PBE | relaxed; SG = P-6m2, No. 187
1.0
6.377 0.000 0.000
-3.188 5.522 0.000
0.000 0.000 10.308
Mg Cd
15 1
Cartesian
0.000 0.000 0.000
4.782 2.761 0.000
-1.591 2.763 5.154
1.594 0.920 2.581
1.594 0.920 7.728
0.000 3.682 2.574
0.000 3.682 7.735
3.188 0.001 0.000
1.595 2.761 0.000
1.591 2.763 5.154
0.000 5.519 5.154
4.783 0.920 2.581
4.783 0.920 7.728
3.188 3.682 2.581
3.188 3.682 7.728
0.000 0.000 5.154


# 7
Na30Nb16Zn8Si27S9O144 | Materials Project | GGA-PBE | relaxed; total magnetic moment = 0.00 Bohr magnetons per cell; SG = P1, No. 1
1.0
9.064 0.000 0.000
-0.032 15.667 0.000
-0.018 -0.081 22.652
Na Nb Zn Si S O
30 16 8 27 9 144
Cartesian
0.000 0.000 0.000
-0.005 5.125 7.462
0.163 10.966 7.564
1.111 3.076 18.843
1.261 8.274 3.527
1.283 12.916 18.745
1.385 2.664 3.535
1.747 8.138 18.795
2.854 5.368 20.852
2.857 10.759 5.653
2.920 0.228 13.154
2.910 5.478 9.466
2.948 10.732 16.992
3.054 0.236 1.749
4.064 8.184 7.477
4.518 12.936 7.455
4.558 8.240 14.873
4.688 3.122 7.432
5.632 10.941 18.861
5.828 5.078 18.796
5.917 10.518 3.538
6.287 0.309 18.748
7.305 13.112 20.774
7.372 2.870 5.607
7.402 8.038 1.682
7.453 2.816 16.998
7.480 8.006 13.036
7.487 13.224 9.538
8.606 0.340 7.438
8.943 10.495 14.870
2.791 10.712 13.575
2.885 0.285 21.016
2.898 5.416 17.247
2.920 0.241 9.708
2.934 0.241 5.011
2.938 5.463 5.922
2.953 0.225 16.324
3.009 10.718 2.228
7.378 8.103 21.058
7.411 8.055 5.055
7.397 13.279 17.239
7.450 8.013 16.371
7.448 13.302 5.915
7.476 2.811 13.664
7.509 2.859 2.254
7.497 8.147 9.747
2.809 10.694 8.856
2.855 5.383 1.418
2.906 5.442 12.906
2.997 10.664 20.150
7.338 13.183 1.445
7.452 2.870 8.817
7.495 13.179 12.770
7.541 2.868 20.153
0.216 10.778 11.090
0.279 0.193 18.686
0.292 5.516 3.582
0.965 13.361 14.905
1.020 8.065 7.375
1.060 2.887 22.432
1.558 7.677 14.885
1.573 13.648 7.384
1.606 2.533 7.389
1.661 3.168 14.871
4.201 13.630 18.727
4.245 7.682 3.528
4.248 2.507 18.704
4.262 3.212 3.573
4.788 8.023 18.698
4.821 13.380 3.575
5.517 5.440 14.888
5.556 0.240 7.397
5.585 10.717 22.410
6.088 11.001 14.906
6.121 5.823 7.454
6.114 10.376 7.403
6.101 15.464 14.840
8.742 15.531 3.511
8.750 10.338 18.718
8.764 5.788 18.759
8.790 11.035 3.591
1.570 8.362 22.469
1.583 12.919 22.464
4.200 12.975 11.133
4.231 8.374 11.145
4.819 2.847 11.138
6.107 0.543 22.465
6.134 5.081 22.467
8.759 5.108 11.138
8.778 0.597 11.128
-0.027 8.021 15.132
-0.013 7.798 8.658
0.018 2.674 1.109
0.012 2.687 7.517
0.022 8.266 6.093
0.051 8.269 22.425
0.039 12.989 16.264
0.170 2.921 21.101
0.145 13.161 22.595
0.150 13.596 13.595
1.102 10.847 9.758
1.142 5.295 11.254
1.174 5.940 2.352
1.232 5.192 4.947
1.249 0.514 11.060
1.259 -0.070 20.047
1.264 10.526 12.436
1.299 0.204 3.812
1.279 10.475 18.854
1.334 0.414 17.482
1.338 5.700 18.574
1.348 10.802 3.428
1.767 6.852 13.569
1.860 9.298 1.056
1.862 4.117 16.245
1.841 12.164 21.231
1.862 14.656 8.701
1.900 1.600 6.094
1.898 6.673 7.267
1.919 1.376 22.386
1.918 11.942 14.768
1.974 9.351 7.421
2.031 4.137 22.583
2.012 14.567 15.181
2.059 9.030 21.254
2.167 7.044 22.599
2.174 12.282 1.013
2.219 1.672 15.179
2.239 14.469 6.149
2.273 12.212 7.433
2.293 3.750 13.558
2.284 9.211 14.765
2.271 14.281 22.438
2.302 7.025 16.242
2.354 1.756 8.682
2.373 3.988 7.298
3.408 3.750 2.365
3.468 3.953 18.587
3.478 1.771 20.018
3.485 14.339 11.068
3.517 7.049 4.919
3.529 9.228 3.425
3.523 12.174 18.767
3.541 14.419 17.472
3.602 1.730 3.891
3.595 12.269 12.325
3.650 7.034 11.254
3.734 9.031 9.923
3.776 14.601 3.855
3.835 9.309 18.745
3.884 11.972 3.441
3.918 6.632 18.591
3.938 1.523 17.465
3.936 4.007 11.260
3.917 14.630 20.036
3.934 12.232 9.891
3.971 1.564 11.059
3.959 9.214 12.375
3.983 4.145 4.962
3.993 6.821 2.249
4.480 5.736 7.263
4.463 10.767 14.730
4.524 -0.026 8.702
4.529 0.470 6.156
4.522 10.522 7.531
4.556 0.101 15.158
4.549 10.563 1.114
4.589 5.188 16.260
4.605 0.416 22.416
4.661 5.878 13.633
4.685 10.806 21.092
4.701 5.286 22.624
5.605 2.968 9.891
5.632 13.191 11.286
5.651 13.672 2.284
5.714 2.657 12.321
5.754 8.285 11.084
5.750 13.031 4.938
5.783 8.226 17.417
5.827 8.045 3.806
5.833 2.663 18.871
5.821 7.759 19.987
5.850 13.542 18.602
5.891 3.048 3.407
6.331 14.602 13.552
6.383 6.827 8.723
6.359 11.932 16.283
6.407 1.484 1.024
6.388 4.330 21.225
6.410 14.532 7.262
6.426 9.435 6.095
6.483 1.544 7.522
6.471 9.246 22.361
6.496 4.106 14.698
6.499 6.734 15.182
6.560 11.968 22.574
6.626 1.179 21.242
6.705 9.482 15.194
6.754 4.437 1.005
6.718 14.899 22.598
6.780 4.354 7.499
6.792 6.594 6.159
6.827 1.354 14.676
6.804 14.839 16.247
6.849 6.426 22.420
6.878 9.614 8.676
6.874 11.831 7.267
6.926 11.530 13.684
7.955 11.582 2.375
7.981 11.785 18.603
7.993 9.570 20.000
8.063 6.461 11.078
8.074 4.340 18.748
8.061 14.844 4.887
8.098 1.418 3.424
8.105 6.588 17.476
8.157 9.524 3.875
8.162 4.406 12.326
8.184 14.931 11.250
8.283 1.238 9.891
8.287 12.011 11.246
8.363 6.790 3.866
8.372 1.466 18.768
8.396 9.289 11.029
8.439 4.133 3.437
8.437 9.396 17.415
8.440 14.464 18.592
8.477 4.354 9.895
8.489 1.469 12.320
8.488 6.788 20.040
8.498 11.974 4.964
8.551 14.732 2.160
8.997 13.594 7.275
9.039 3.009 14.710


| no. | VASP energy (eV per formula unit) |
| --- | --- |
| 1 | -104.0 |
| 2 | -48.5 |
| 3 | -27.8 |
| 4 | -52.7 |
| 5 | -74.3 |
| 6 | -25.1 |
| 7 | -1628.8 |